Record 1
The following is a DFT calculation (meta-GGA r2SCAN) of a relaxed structure of BaPbO3.

```
BaPbO3
1.0
-3.030 3.070 4.281
3.030 -3.070 4.281
3.030 3.070 -4.281
Ba Pb O
2 2 6
Cartesian
0.000 0.023 6.421 Ba
3.030 3.047 -2.140 Ba
0.000 3.070 0.000 Pb
3.030 0.000 0.000 Pb
1.515 -1.535 3.987 O
3.030 0.382 2.140 O
0.000 2.687 2.140 O
1.515 1.535 -0.294 O
-1.515 1.535 4.574 O
1.515 1.535 4.574 O
```

Total energy, eV/atom: -22.03
Calculated formation energy, meV/atom: -1891
Spin magnetization, Bohr magnetons per cell: 0.0

=====

Record 2
The following is a DFT calculation (meta-GGA r2SCAN) of a relaxed structure of U3O8.

```
U3O8
1.0
6.745 -0.031 0.000
-3.053 6.015 0.000
0.000 0.000 8.308
U O
6 16
Cartesian
3.333 2.074 2.077 U
6.628 0.042 6.231 U
3.474 1.987 6.231 U
0.360 3.910 6.231 U
-2.936 5.942 2.077 U
0.218 3.997 2.077 U
5.565 2.209 6.231 O
3.339 2.070 0.147 O
2.321 4.211 2.077 O
-1.873 3.775 2.077 O
3.339 2.070 4.007 O
-1.392 4.993 6.231 O
0.353 3.914 8.161 O
0.968 2.021 2.077 O
-0.525 5.965 2.077 O
2.725 3.963 6.231 O
0.000 0.000 0.000 O
0.353 3.914 4.301 O
4.217 0.019 6.231 O
1.371 1.774 6.231 O
0.000 0.000 4.154 O
5.084 0.991 2.077 O
```

Total energy, eV/atom: -29.65
E above lowest polymorph, meV/atom: 0
Calculated formation energy, meV/atom: -3509
Spin magnetization, Bohr magnetons per cell: 4.0

=====

Record 3
The following is a DFT calculation (meta-GGA r2SCAN) of a relaxed structure of ThB4O8.

```
ThB4O8
1.0
-3.817 -1.856 7.171
-0.934 -4.876 6.693
3.524 2.425 5.930
Th B O
2 8 16
Cartesian
1.159 -2.480 11.231 Th
-2.385 -1.826 8.562 Th
-1.376 -1.838 14.514 B
0.162 0.577 8.535 B
0.150 -2.468 5.280 B
-1.388 -4.884 11.258 B
-1.801 -2.514 11.993 B
1.247 0.561 10.946 B
0.575 -1.793 7.801 B
-2.473 -4.868 8.847 B
-1.790 -3.220 14.895 O
1.489 1.003 8.002 O
0.564 -1.087 4.899 O
-2.715 -5.310 11.792 O
-0.067 -1.570 15.053 O
-0.264 -0.616 7.850 O
-1.159 -2.737 4.741 O
-0.962 -3.690 11.944 O
-1.404 -1.641 13.085 O
0.193 0.378 9.964 O
0.178 -2.666 6.709 O
-1.418 -4.684 9.830 O
-1.571 -1.681 10.821 O
0.596 0.170 12.189 O
0.345 -2.626 8.973 O
-1.821 -4.477 7.605 O
```

Total energy, eV/atom: -14.56
Calculated formation energy, meV/atom: -2972
Spin magnetization, Bohr magnetons per cell: 0.0

=====

Record 4
The following is a DFT calculation (meta-GGA r2SCAN) of a relaxed structure of GdTmCd2.

```
GdTmCd2
1.0
0.000 3.716 3.716
3.716 0.000 3.716
3.716 3.716 0.000
Gd Tm Cd
1 1 2
Cartesian
3.716 3.716 3.716 Gd
0.000 0.000 0.000 Tm
5.574 5.574 5.574 Cd
1.858 1.858 1.858 Cd
```

Total energy, eV/atom: -30.03
Calculated formation energy, meV/atom: -348
Spin magnetization, Bohr magnetons per cell: 8.2

=====

Record 5
The following is a DFT calculation (meta-GGA r2SCAN) of a relaxed structure of NaNb6Se8.

```
NaNb6Se8
1.0
5.047 -8.742 0.000
5.047 8.742 0.000
0.000 0.000 3.526
Na Nb Se
1 6 8
Cartesian
10.094 0.000 1.763 Na
3.643 4.476 0.884 Nb
7.102 3.349 0.884 Nb
4.396 0.917 0.884 Nb
6.452 -4.476 2.642 Nb
2.991 -3.349 2.642 Nb
5.698 -0.916 2.642 Nb
6.160 5.800 0.876 Se
6.990 0.507 0.876 Se
1.991 2.435 0.876 Se
3.933 -5.800 2.650 Se
3.105 -0.506 2.650 Se
8.103 -2.435 2.650 Se
5.047 -2.914 0.879 Se
5.047 2.914 2.647 Se
```

Total energy, eV/atom: -18.78
Calculated formation energy, meV/atom: -1013
Spin magnetization, Bohr magnetons per cell: 0.0

=====

Record 6
The following is a DFT calculation (meta-GGA r2SCAN) of a relaxed structure of HfSiMo.

```
HfSiMo
1.0
3.480 0.000 0.000
0.000 6.935 0.000
0.000 0.000 8.168
Hf Si Mo
4 4 4
Cartesian
0.870 3.778 6.800 Hf
2.610 3.157 1.368 Hf
0.870 0.311 5.451 Hf
2.610 6.624 2.716 Hf
0.870 5.240 1.117 Si
2.610 1.695 7.051 Si
0.870 1.772 2.967 Si
2.610 5.163 5.201 Si
2.610 6.008 7.657 Mo
0.870 0.927 0.511 Mo
2.610 2.540 4.595 Mo
0.870 4.395 3.573 Mo
```

Total energy, eV/atom: -27.41
Calculated formation energy, meV/atom: -744
Spin magnetization, Bohr magnetons per cell: 0.0

=====

- Which of these has the highest spin magnetization?
  GdTmCd2

=====

- Among the records above, which one has the lowest calculated formation energy?
  U3O8

=====

Copy entry 3 word for word.
The following is a DFT calculation (meta-GGA r2SCAN) of a relaxed structure of ThB4O8.

```
ThB4O8
1.0
-3.817 -1.856 7.171
-0.934 -4.876 6.693
3.524 2.425 5.930
Th B O
2 8 16
Cartesian
1.159 -2.480 11.231 Th
-2.385 -1.826 8.562 Th
-1.376 -1.838 14.514 B
0.162 0.577 8.535 B
0.150 -2.468 5.280 B
-1.388 -4.884 11.258 B
-1.801 -2.514 11.993 B
1.247 0.561 10.946 B
0.575 -1.793 7.801 B
-2.473 -4.868 8.847 B
-1.790 -3.220 14.895 O
1.489 1.003 8.002 O
0.564 -1.087 4.899 O
-2.715 -5.310 11.792 O
-0.067 -1.570 15.053 O
-0.264 -0.616 7.850 O
-1.159 -2.737 4.741 O
-0.962 -3.690 11.944 O
-1.404 -1.641 13.085 O
0.193 0.378 9.964 O
0.178 -2.666 6.709 O
-1.418 -4.684 9.830 O
-1.571 -1.681 10.821 O
0.596 0.170 12.189 O
0.345 -2.626 8.973 O
-1.821 -4.477 7.605 O
```

Total energy, eV/atom: -14.56
Calculated formation energy, meV/atom: -2972
Spin magnetization, Bohr magnetons per cell: 0.0